No. 1
Material: Bi4Se3N2
Method: DFT, PBE-GGA
State: optimized geometry

* volume: 456.7 Å³/cell
* space-group type: No. 58

Lattice parameters (Å, degrees): 7.182 15.760 4.034 90.00 90.00 90.00
Positions (direct):
Se  0.652  0.788  0.000
Bi  0.295  0.066  0.500
N  0.884  0.576  0.000
Bi  0.718  0.147  0.000
Se  0.152  0.712  0.500
Bi  0.205  0.566  0.000
N  0.384  0.924  0.500
N  0.116  0.424  0.000
Se  0.000  0.000  0.000
Se  0.348  0.212  0.000
N  0.616  0.076  0.500
Bi  0.282  0.853  0.000
Bi  0.218  0.353  0.500
Bi  0.705  0.934  0.500
Se  0.848  0.288  0.500
Bi  0.795  0.434  0.000
Se  0.500  0.500  0.500
Bi  0.782  0.647  0.500

=====

No. 2
Material: Bi4Se3N2
Method: DFT, PBE-GGA
State: optimized geometry

* volume: 228.0 Å³/cell
* space-group type: No. 12

Lattice parameters (Å, degrees): 7.576 3.978 9.482 90.00 57.13 74.78
Positions (direct):
Bi  0.746  0.127  0.418
N  0.382  0.309  0.636
Bi  0.254  0.873  0.582
Se  0.712  0.644  0.723
Se  0.000  0.000  0.000
Bi  0.633  0.683  0.119
N  0.618  0.691  0.364
Bi  0.367  0.317  0.881
Se  0.288  0.356  0.277

=====

No. 3
Material: Si3Bi5N9
Method: DFT, PBE-GGA
State: optimized geometry

* volume: 1036.6 Å³/cell
* space-group type: No. 64

Lattice parameters (Å, degrees): 8.096 11.901 15.865 90.00 90.00 137.31
Positions (direct):
N  0.459  0.773  0.345
N  0.234  0.726  0.762
Bi  0.505  0.752  0.500
Si  0.000  0.296  0.269
N  0.234  0.226  0.738
N  0.000  0.191  0.191
N  0.766  0.774  0.262
Bi  0.000  0.484  0.132
N  0.000  0.691  0.309
N  0.257  0.980  0.993
N  0.000  0.309  0.691
N  0.257  0.277  0.007
Bi  0.389  0.924  0.375
Si  0.000  0.728  0.526
N  0.000  0.750  0.632
Si  0.000  0.704  0.731
Si  0.500  0.280  0.750
Bi  0.000  0.016  0.632
N  0.000  0.150  0.537
N  0.766  0.992  0.738
Si  0.500  0.780  0.750
Bi  0.495  0.748  0.000
Si  0.000  0.204  0.769
N  0.000  0.750  0.132
Si  0.000  0.228  0.974
Si  0.500  0.720  0.250
N  0.257  0.480  0.507
N  0.541  0.727  0.845
N  0.541  0.315  0.345
N  0.743  0.723  0.993
N  0.234  0.008  0.262
N  0.766  0.274  0.238
Bi  0.000  0.484  0.639
N  0.234  0.508  0.238
Bi  0.000  0.516  0.868
Si  0.000  0.796  0.231
Bi  0.611  0.076  0.625
Si  0.500  0.220  0.250
N  0.459  0.685  0.655
Bi  0.000  0.984  0.368
N  0.000  0.250  0.868
N  0.743  0.223  0.507
N  0.743  0.020  0.007
Bi  0.000  0.516  0.361
N  0.541  0.815  0.155
Bi  0.505  0.252  0.000
Si  0.000  0.272  0.474
Bi  0.389  0.465  0.625
N  0.000  0.650  0.963
Bi  0.000  0.016  0.139
Bi  0.389  0.965  0.875
N  0.459  0.185  0.845
Si  0.000  0.772  0.026
Bi  0.611  0.576  0.875
N  0.766  0.492  0.762
N  0.000  0.809  0.809
Bi  0.611  0.035  0.125
N  0.541  0.227  0.655
Bi  0.389  0.424  0.125
N  0.000  0.350  0.037
Bi  0.611  0.535  0.375
N  0.000  0.250  0.368
N  0.743  0.520  0.493
N  0.000  0.850  0.463
N  0.257  0.777  0.493
Bi  0.495  0.248  0.500
N  0.459  0.273  0.155
Bi  0.000  0.984  0.861

=====

No. 4
Material: Sr3BiN
Method: DFT, PBE-GGA
State: optimized geometry

* volume: 145.6 Å³/cell
* space-group type: No. 221

Lattice parameters (Å, degrees): 5.261 5.261 5.261 90.00 90.00 90.00
Positions (direct):
Sr  0.000  0.500  0.500
N  0.500  0.500  0.500
Sr  0.500  0.500  0.000
Bi  0.000  0.000  0.000
Sr  0.500  0.000  0.500

=====

No. 5
Material: Sr3BiN3
Method: DFT, PBE-GGA
State: optimized geometry

* volume: 312.0 Å³/cell
* space-group type: No. 176

Lattice parameters (Å, degrees): 8.211 8.210 5.344 90.00 90.00 119.99
Positions (direct):
N  0.267  0.904  0.250
Sr  0.745  0.095  0.250
Sr  0.650  0.745  0.750
Bi  0.333  0.667  0.250
Sr  0.350  0.255  0.250
N  0.096  0.363  0.250
Sr  0.905  0.650  0.250
N  0.637  0.733  0.250
Sr  0.255  0.905  0.750
Sr  0.095  0.350  0.750
N  0.363  0.267  0.750
N  0.904  0.637  0.750
N  0.733  0.096  0.750
Bi  0.667  0.333  0.750

=====

No. 6
Material: Bi4Te3N2
Method: DFT, PBE-GGA
State: optimized geometry

* volume: 258.7 Å³/cell
* space-group type: No. 12

Lattice parameters (Å, degrees): 8.001 4.121 9.711 90.00 58.01 75.08
Positions (direct):
Bi  0.274  0.863  0.575
Bi  0.371  0.315  0.870
Bi  0.629  0.685  0.130
N  0.613  0.693  0.370
Te  0.275  0.363  0.280
Te  0.000  0.000  0.000
Bi  0.726  0.137  0.425
Te  0.725  0.637  0.720
N  0.387  0.307  0.630

=====

No. 7
Material: Bi4Te3N2
Method: DFT, PBE-GGA
State: optimized geometry

* volume: 522.4 Å³/cell
* space-group type: No. 58

Lattice parameters (Å, degrees): 7.659 16.434 4.151 90.00 90.00 90.00
Positions (direct):
N  0.392  0.925  0.500
Bi  0.693  0.939  0.500
Bi  0.204  0.357  0.500
Te  0.161  0.717  0.500
N  0.108  0.425  0.000
Te  0.661  0.783  0.000
Bi  0.307  0.061  0.500
Te  0.000  0.000  0.000
N  0.892  0.575  0.000
Te  0.500  0.500  0.500
Bi  0.296  0.857  0.000
N  0.608  0.075  0.500
Bi  0.807  0.439  0.000
Bi  0.796  0.643  0.500
Bi  0.704  0.143  0.000
Te  0.339  0.217  0.000
Te  0.839  0.283  0.500
Bi  0.193  0.561  0.000

=====

No. 8
Material: Bi4Te3N2
Method: DFT, PBE-GGA
State: optimized geometry

* volume: 1005.3 Å³/cell
* space-group type: No. 62

Lattice parameters (Å, degrees): 7.584 11.316 11.714 90.00 90.00 90.00
Positions (direct):
Bi  0.751  0.750  0.972
Bi  0.162  0.447  0.403
Bi  0.749  0.250  0.472
N  0.046  0.878  0.459
Bi  0.838  0.553  0.597
Te  0.604  0.559  0.358
N  0.954  0.378  0.541
Te  0.604  0.941  0.358
Te  0.104  0.941  0.142
N  0.546  0.878  0.041
Te  0.055  0.750  0.740
Bi  0.838  0.947  0.597
Bi  0.915  0.750  0.325
N  0.454  0.122  0.959
Te  0.445  0.250  0.240
Bi  0.585  0.250  0.825
Bi  0.251  0.750  0.528
N  0.046  0.622  0.459
Bi  0.415  0.750  0.175
Bi  0.085  0.250  0.675
Te  0.396  0.441  0.642
Bi  0.338  0.947  0.903
Te  0.945  0.250  0.260
N  0.954  0.122  0.541
Te  0.896  0.441  0.858
Te  0.396  0.059  0.642
N  0.546  0.622  0.041
Te  0.896  0.059  0.858
Bi  0.662  0.053  0.097
Bi  0.162  0.053  0.403
Te  0.104  0.559  0.142
N  0.454  0.378  0.959
Bi  0.338  0.553  0.903
Bi  0.249  0.250  0.028
Te  0.555  0.750  0.760
Bi  0.662  0.447  0.097

=====

No. 9
Material: Zn3Bi3N5
Method: DFT, PBE-GGA
State: optimized geometry

* volume: 377.9 Å³/cell
* space-group type: No. 2

Lattice parameters (Å, degrees): 6.403 6.321 9.497 92.96 99.78 86.87
Positions (direct):
Bi  0.308  0.387  0.835
N  0.941  0.717  0.550
N  0.004  0.787  0.230
Bi  0.544  0.876  0.840
N  0.761  0.618  0.945
Bi  0.803  0.384  0.578
N  0.996  0.213  0.770
N  0.059  0.283  0.450
Bi  0.456  0.124  0.160
Zn  0.317  0.115  0.515
Zn  0.683  0.885  0.485
Bi  0.692  0.613  0.165
Zn  0.101  0.702  0.044
Zn  0.948  0.096  0.281
N  0.449  0.848  0.604
Zn  0.899  0.298  0.956
N  0.239  0.382  0.055
N  0.765  0.263  0.130
N  0.551  0.152  0.396
Zn  0.052  0.904  0.719
Bi  0.197  0.616  0.422
N  0.235  0.737  0.870

=====

No. 10
Material: Zn2BiN3
Method: DFT, PBE-GGA
State: optimized geometry

* volume: 171.5 Å³/cell
* space-group type: No. 36

Lattice parameters (Å, degrees): 5.958 5.920 5.601 90.00 90.00 119.79
Positions (direct):
Zn  0.653  0.992  0.496
N  0.347  0.016  0.363
Zn  0.347  0.339  0.496
N  0.653  0.984  0.863
Zn  0.653  0.661  0.996
N  0.000  0.675  0.883
N  0.653  0.669  0.363
Zn  0.347  0.008  0.996
Bi  0.000  0.686  0.487
N  0.000  0.325  0.383
N  0.347  0.331  0.863
Bi  0.000  0.314  0.987

=====

No. 11
Material: Na3Bi
Method: DFT, PBE-GGA
State: optimized geometry

* volume: 254.3 Å³/cell
* space-group type: No. 194

Lattice parameters (Å, degrees): 5.485 5.485 9.762 90.00 90.00 120.00
Positions (direct):
Na  0.667  0.333  0.917
Na  0.000  0.000  0.250
Na  0.333  0.667  0.417
Bi  0.667  0.333  0.250
Na  0.667  0.333  0.583
Na  0.000  0.000  0.750
Na  0.333  0.667  0.083
Bi  0.333  0.667  0.750

=====

No. 12
Material: Na3Bi
Method: DFT, PBE-GGA
State: optimized geometry

* volume: 114.4 Å³/cell
* space-group type: No. 225

Lattice parameters (Å, degrees): 5.448 5.448 5.448 60.00 60.00 60.00
Positions (direct):
Na  0.500  0.500  0.500
Na  0.250  0.250  0.250
Na  0.750  0.750  0.750
Bi  0.000  0.000  0.000

=====

Total energy? In order: -4.64; -4.75; -6.44; -4.32; -5.10; -4.51; -4.38; -4.45; -4.75; -4.81; -2.33; -2.33 eV per atom.